# PBE Li5Nb7S14, relaxed
data_Li5Nb7S14
_chemical_formula_sum 'Li10 Nb14 S28'
_symmetry_space_group_name_H-M 'P 1'
_symmetry_Int_Tables_number 1
_symmetry_space_group_name_Hall 'P 1'
_cell_length_a 12.180
_cell_length_b 12.180
_cell_length_c 16.432
_cell_angle_alpha 53.21
_cell_angle_beta 53.21
_cell_angle_gamma 27.79
loop_
_atom_site_label
_atom_site_type_symbol
_atom_site_fract_x
_atom_site_fract_y
_atom_site_fract_z
_atom_site_occupancy
S1 S 0.745 0.580 0.371 1
S2 S 0.150 0.317 0.871 1
S3 S 0.993 0.825 0.129 1
S4 S 0.255 0.420 0.629 1
S5 S 0.420 0.255 0.129 1
S6 S 0.461 0.293 0.371 1
S7 S 0.580 0.745 0.871 1
S8 S 0.565 0.397 0.129 1
S9 S 0.134 0.970 0.129 1
S10 S 0.030 0.866 0.371 1
S11 S 0.683 0.850 0.629 1
S12 S 0.111 0.279 0.629 1
S13 S 0.603 0.435 0.371 1
S14 S 0.397 0.565 0.629 1
S15 S 0.539 0.707 0.629 1
S16 S 0.293 0.461 0.871 1
S17 S 0.825 0.993 0.629 1
S18 S 0.866 0.030 0.871 1
S19 S 0.175 0.007 0.371 1
S20 S 0.279 0.111 0.129 1
S21 S 0.721 0.889 0.871 1
S22 S 0.007 0.175 0.871 1
S23 S 0.970 0.134 0.629 1
S24 S 0.435 0.603 0.871 1
S25 S 0.707 0.539 0.129 1
S26 S 0.850 0.683 0.129 1
S27 S 0.317 0.150 0.371 1
S28 S 0.889 0.721 0.371 1
Nb1 Nb 0.750 0.250 0.250 1
Nb2 Nb 0.605 0.109 0.250 1
Nb3 Nb 0.322 0.820 0.250 1
Nb4 Nb 0.963 0.465 0.751 1
Nb5 Nb 0.037 0.535 0.249 1
Nb6 Nb 0.465 0.963 0.251 1
Nb7 Nb 0.250 0.750 0.750 1
Nb8 Nb 0.820 0.322 0.750 1
Nb9 Nb 0.891 0.395 0.250 1
Nb10 Nb 0.535 0.037 0.749 1
Nb11 Nb 0.395 0.891 0.750 1
Nb12 Nb 0.109 0.605 0.750 1
Nb13 Nb 0.678 0.180 0.750 1
Nb14 Nb 0.180 0.678 0.250 1
Li1 Li 0.285 0.786 0.000 1
Li2 Li 0.928 0.428 0.500 1
Li3 Li 0.072 0.572 0.500 1
Li4 Li 0.572 0.072 0.000 1
Li5 Li 0.715 0.214 0.000 1
Li6 Li 0.500 0.000 0.500 1
Li7 Li 0.428 0.928 0.000 1
Li8 Li 0.000 0.500 0.000 1
Li9 Li 0.214 0.715 0.500 1
Li10 Li 0.786 0.285 0.500 1
# Calculated formation energy (meV per atom): -1541
# MP2020-corrected energy (eV/cell): -356.45
# Total DFT energy (no corrections) (eV/atom): -6.58
# Symmetry: No. 15

***

# PBE Li7NbS6, relaxed
data_Li7NbS6
_chemical_formula_sum 'Li14 Nb2 S12'
_symmetry_space_group_name_H-M 'P 1'
_symmetry_Int_Tables_number 1
_symmetry_space_group_name_Hall 'P 1'
_cell_length_a 7.553
_cell_length_b 7.135
_cell_length_c 12.243
_cell_angle_alpha 55.59
_cell_angle_beta 90.00
_cell_angle_gamma 90.00
loop_
_atom_site_label
_atom_site_type_symbol
_atom_site_fract_x
_atom_site_fract_y
_atom_site_fract_z
_atom_site_occupancy
S1 S 0.734 0.969 0.327 1
S2 S 0.492 0.860 0.618 1
S3 S 0.192 0.578 0.479 1
S4 S 0.980 0.884 0.618 1
S5 S 0.020 0.884 0.118 1
S6 S 0.734 0.426 0.375 1
S7 S 0.782 0.291 0.759 1
S8 S 0.508 0.860 0.118 1
S9 S 0.266 0.969 0.827 1
S10 S 0.266 0.426 0.875 1
S11 S 0.218 0.291 0.259 1
S12 S 0.808 0.578 0.979 1
Li1 Li 0.522 0.444 0.183 1
Li2 Li 0.478 0.444 0.683 1
Li3 Li 0.942 0.951 0.798 1
Li4 Li 0.099 0.401 0.707 1
Li5 Li 0.872 0.250 0.969 1
Li6 Li 0.741 0.624 0.771 1
Li7 Li 0.901 0.401 0.207 1
Li8 Li 0.860 0.560 0.512 1
Li9 Li 0.365 0.914 0.416 1
Li10 Li 0.058 0.951 0.298 1
Li11 Li 0.140 0.560 0.012 1
Li12 Li 0.128 0.250 0.469 1
Li13 Li 0.259 0.624 0.271 1
Li14 Li 0.635 0.914 0.916 1
Nb1 Nb 0.734 0.041 0.487 1
Nb2 Nb 0.266 0.041 0.987 1
# Calculated formation energy (meV per atom): -1362
# Distance to the lowest polymorph of the same formula (kJ per mole of atoms): 1.38
# MP2020-corrected energy (eV/cell): -134.71
# Total DFT energy (no corrections) (eV/atom): -4.60
# Symmetry: No. 7

***

# PBE Li3NbS4, relaxed
data_Li3NbS4
_chemical_formula_sum 'Li24 Nb8 S32'
_symmetry_space_group_name_H-M 'P 1'
_symmetry_Int_Tables_number 1
_symmetry_space_group_name_Hall 'P 1'
_cell_length_a 10.095
_cell_length_b 11.246
_cell_length_c 12.526
_cell_angle_alpha 90.00
_cell_angle_beta 90.00
_cell_angle_gamma 90.00
loop_
_atom_site_label
_atom_site_type_symbol
_atom_site_fract_x
_atom_site_fract_y
_atom_site_fract_z
_atom_site_occupancy
S1 S 0.533 0.181 0.496 1
S2 S 0.679 0.481 0.476 1
S3 S 0.302 0.752 0.799 1
S4 S 0.066 0.011 0.765 1
S5 S 0.198 0.752 0.299 1
S6 S 0.802 0.748 0.799 1
S7 S 0.179 0.519 0.024 1
S8 S 0.179 0.019 0.476 1
S9 S 0.698 0.748 0.299 1
S10 S 0.467 0.319 0.996 1
S11 S 0.967 0.681 0.504 1
S12 S 0.934 0.489 0.265 1
S13 S 0.033 0.319 0.496 1
S14 S 0.033 0.819 0.004 1
S15 S 0.467 0.819 0.504 1
S16 S 0.679 0.981 0.024 1
S17 S 0.934 0.989 0.235 1
S18 S 0.321 0.519 0.524 1
S19 S 0.698 0.248 0.201 1
S20 S 0.821 0.981 0.524 1
S21 S 0.434 0.511 0.235 1
S22 S 0.533 0.681 0.004 1
S23 S 0.302 0.252 0.701 1
S24 S 0.821 0.481 0.976 1
S25 S 0.967 0.181 0.996 1
S26 S 0.198 0.252 0.201 1
S27 S 0.802 0.248 0.701 1
S28 S 0.066 0.511 0.735 1
S29 S 0.566 0.989 0.735 1
S30 S 0.566 0.489 0.765 1
S31 S 0.321 0.019 0.976 1
S32 S 0.434 0.011 0.265 1
Nb1 Nb 0.680 0.104 0.617 1
Nb2 Nb 0.320 0.396 0.117 1
Nb3 Nb 0.820 0.104 0.117 1
Nb4 Nb 0.180 0.396 0.617 1
Nb5 Nb 0.320 0.896 0.383 1
Nb6 Nb 0.820 0.604 0.383 1
Nb7 Nb 0.680 0.604 0.883 1
Nb8 Nb 0.180 0.896 0.883 1
Li1 Li 0.798 0.331 0.364 1
Li2 Li 0.003 0.871 0.399 1
Li3 Li 0.298 0.169 0.364 1
Li4 Li 0.702 0.831 0.636 1
Li5 Li 0.202 0.669 0.636 1
Li6 Li 0.625 0.955 0.393 1
Li7 Li 0.298 0.669 0.136 1
Li8 Li 0.497 0.371 0.601 1
Li9 Li 0.202 0.169 0.864 1
Li10 Li 0.375 0.545 0.893 1
Li11 Li 0.497 0.871 0.899 1
Li12 Li 0.003 0.371 0.101 1
Li13 Li 0.798 0.831 0.136 1
Li14 Li 0.702 0.331 0.864 1
Li15 Li 0.625 0.455 0.107 1
Li16 Li 0.503 0.129 0.101 1
Li17 Li 0.997 0.129 0.601 1
Li18 Li 0.125 0.045 0.107 1
Li19 Li 0.875 0.955 0.893 1
Li20 Li 0.375 0.045 0.607 1
Li21 Li 0.503 0.629 0.399 1
Li22 Li 0.125 0.545 0.393 1
Li23 Li 0.997 0.629 0.899 1
Li24 Li 0.875 0.455 0.607 1
# Calculated formation energy (meV per atom): -1341
# Distance to the lowest polymorph of the same formula (kJ per mole of atoms): 5.41
# MP2020-corrected energy (eV/cell): -344.81
# Total DFT energy (no corrections) (eV/atom): -5.14
# Symmetry: No. 61

***

# PBE LiNbSe2, relaxed
data_LiNbSe2
_chemical_formula_sum 'Li2 Nb2 Se4'
_symmetry_space_group_name_H-M 'P 1'
_symmetry_Int_Tables_number 1
_symmetry_space_group_name_Hall 'P 1'
_cell_length_a 3.530
_cell_length_b 3.530
_cell_length_c 13.690
_cell_angle_alpha 90.00
_cell_angle_beta 90.00
_cell_angle_gamma 120.00
loop_
_atom_site_label
_atom_site_type_symbol
_atom_site_fract_x
_atom_site_fract_y
_atom_site_fract_z
_atom_site_occupancy
Se1 Se 0.333 0.667 0.128 1
Se2 Se 0.667 0.333 0.628 1
Se3 Se 0.667 0.333 0.872 1
Se4 Se 0.333 0.667 0.372 1
Li1 Li 0.000 0.000 0.000 1
Li2 Li 0.000 0.000 0.500 1
Nb1 Nb 0.000 0.000 0.250 1
Nb2 Nb 0.000 0.000 0.750 1
# Calculated formation energy (meV per atom): -1310
# MP2020-corrected energy (eV/cell): -48.48
# Total DFT energy (no corrections) (eV/atom): -5.82
# Symmetry: No. 194

***

# PBE Li3Nd, relaxed
data_Li3Nd
_chemical_formula_sum 'Li3 Nd1'
_symmetry_space_group_name_H-M 'P 1'
_symmetry_Int_Tables_number 1
_symmetry_space_group_name_Hall 'P 1'
_cell_length_a 5.186
_cell_length_b 5.186
_cell_length_c 5.186
_cell_angle_alpha 60.00
_cell_angle_beta 60.00
_cell_angle_gamma 60.00
loop_
_atom_site_label
_atom_site_type_symbol
_atom_site_fract_x
_atom_site_fract_y
_atom_site_fract_z
_atom_site_occupancy
Li1 Li 0.500 0.500 0.500 1
Li2 Li 0.750 0.750 0.750 1
Li3 Li 0.250 0.250 0.250 1
Nd1 Nd 0.000 0.000 0.000 1
# Calculated formation energy (meV per atom): 197
# Total DFT energy (no corrections) (eV/atom): -2.43
# Symmetry: No. 225

***

# PBE LiNdO3, relaxed
data_LiNdO3
_chemical_formula_sum 'Li1 Nd1 O3'
_symmetry_space_group_name_H-M 'P 1'
_symmetry_Int_Tables_number 1
_symmetry_space_group_name_Hall 'P 1'
_cell_length_a 3.772
_cell_length_b 3.772
_cell_length_c 3.772
_cell_angle_alpha 90.00
_cell_angle_beta 90.00
_cell_angle_gamma 90.00
loop_
_atom_site_label
_atom_site_type_symbol
_atom_site_fract_x
_atom_site_fract_y
_atom_site_fract_z
_atom_site_occupancy
Nd1 Nd 0.000 0.000 0.000 1
O1 O 0.500 0.000 0.500 1
O2 O 0.500 0.500 0.000 1
O3 O 0.000 0.500 0.500 1
Li1 Li 0.500 0.500 0.500 1
# Calculated formation energy (meV per atom): -2299
# MP2020-corrected energy (eV/cell): -33.01
# Total DFT energy (no corrections) (eV/atom): -6.19
# Symmetry: No. 221

***

# PBE LiNdO2, relaxed
data_LiNdO2
_chemical_formula_sum 'Li4 Nd4 O8'
_symmetry_space_group_name_H-M 'P 1'
_symmetry_Int_Tables_number 1
_symmetry_space_group_name_Hall 'P 1'
_cell_length_a 6.211
_cell_length_b 6.620
_cell_length_c 6.785
_cell_angle_alpha 58.79
_cell_angle_beta 90.00
_cell_angle_gamma 90.00
loop_
_atom_site_label
_atom_site_type_symbol
_atom_site_fract_x
_atom_site_fract_y
_atom_site_fract_z
_atom_site_occupancy
O1 O 0.308 0.972 0.381 1
O2 O 0.192 0.972 0.881 1
O3 O 0.395 0.447 0.737 1
O4 O 0.808 0.028 0.119 1
O5 O 0.105 0.447 0.237 1
O6 O 0.895 0.553 0.763 1
O7 O 0.692 0.028 0.619 1
O8 O 0.605 0.553 0.263 1
Li1 Li 0.164 0.688 0.591 1
Li2 Li 0.336 0.688 0.091 1
Li3 Li 0.664 0.312 0.909 1
Li4 Li 0.836 0.312 0.409 1
Nd1 Nd 0.366 0.223 0.536 1
Nd2 Nd 0.866 0.777 0.964 1
Nd3 Nd 0.634 0.777 0.464 1
Nd4 Nd 0.134 0.223 0.036 1
# Calculated formation energy (meV per atom): -3125
# MP2020-corrected energy (eV/cell): -116.30
# Total DFT energy (no corrections) (eV/atom): -6.93
# Symmetry: No. 14

***

# PBE LiNdO2, relaxed
data_LiNdO2
_chemical_formula_sum 'Li4 Nd4 O8'
_symmetry_space_group_name_H-M 'P 1'
_symmetry_Int_Tables_number 1
_symmetry_space_group_name_Hall 'P 1'
_cell_length_a 5.801
_cell_length_b 5.813
_cell_length_c 6.129
_cell_angle_alpha 90.00
_cell_angle_beta 90.00
_cell_angle_gamma 102.60
loop_
_atom_site_label
_atom_site_type_symbol
_atom_site_fract_x
_atom_site_fract_y
_atom_site_fract_z
_atom_site_occupancy
O1 O 0.204 0.429 0.867 1
O2 O 0.515 0.086 0.240 1
O3 O 0.796 0.571 0.133 1
O4 O 0.015 0.086 0.260 1
O5 O 0.296 0.571 0.367 1
O6 O 0.985 0.914 0.740 1
O7 O 0.485 0.914 0.760 1
O8 O 0.704 0.429 0.633 1
Li1 Li 0.683 0.666 0.860 1
Li2 Li 0.183 0.666 0.640 1
Li3 Li 0.817 0.334 0.360 1
Li4 Li 0.317 0.334 0.140 1
Nd1 Nd 0.803 0.202 0.929 1
Nd2 Nd 0.697 0.798 0.429 1
Nd3 Nd 0.197 0.798 0.071 1
Nd4 Nd 0.303 0.202 0.571 1
# Calculated formation energy (meV per atom): -3128
# MP2020-corrected energy (eV/cell): -116.34
# Total DFT energy (no corrections) (eV/atom): -6.93
# Symmetry: No. 14

***

# PBE LiPrNdO2, relaxed
data_LiPrNdO2
_chemical_formula_sum 'Li1 Pr1 Nd1 O2'
_symmetry_space_group_name_H-M 'P 1'
_symmetry_Int_Tables_number 1
_symmetry_space_group_name_Hall 'P 1'
_cell_length_a 6.210
_cell_length_b 6.210
_cell_length_c 6.061
_cell_angle_alpha 36.20
_cell_angle_beta 36.20
_cell_angle_gamma 44.90
loop_
_atom_site_label
_atom_site_type_symbol
_atom_site_fract_x
_atom_site_fract_y
_atom_site_fract_z
_atom_site_occupancy
O1 O 0.761 0.761 0.750 1
O2 O 0.239 0.239 0.250 1
Li1 Li 0.500 0.500 0.000 1
Pr1 Pr 0.500 0.500 0.500 1
Nd1 Nd 0.000 0.000 0.000 1
# Calculated formation energy (meV per atom): -1784
# Distance to the lowest polymorph of the same formula (kJ per mole of atoms): 48.32
# MP2020-corrected energy (eV/cell): -30.28
# Total DFT energy (no corrections) (eV/atom): -5.78
# Symmetry: No. 12

***

# PBE LiPrNdO2, relaxed
data_LiPrNdO2
_chemical_formula_sum 'Li1 Pr1 Nd1 O2'
_symmetry_space_group_name_H-M 'P 1'
_symmetry_Int_Tables_number 1
_symmetry_space_group_name_Hall 'P 1'
_cell_length_a 9.233
_cell_length_b 9.233
_cell_length_c 9.233
_cell_angle_alpha 22.10
_cell_angle_beta 22.10
_cell_angle_gamma 22.10
loop_
_atom_site_label
_atom_site_type_symbol
_atom_site_fract_x
_atom_site_fract_y
_atom_site_fract_z
_atom_site_occupancy
O1 O 0.263 0.263 0.263 1
O2 O 0.694 0.694 0.694 1
Nd1 Nd 0.978 0.978 0.978 1
Li1 Li 0.405 0.405 0.405 1
Pr1 Pr 0.536 0.536 0.536 1
# Calculated formation energy (meV per atom): -2285
# Distance to the lowest polymorph of the same formula (kJ per mole of atoms): 0.00
# MP2020-corrected energy (eV/cell): -32.78
# Total DFT energy (no corrections) (eV/atom): -6.28
# Symmetry: No. 160

***

# PBE LiPrNdO2, relaxed
data_LiPrNdO2
_chemical_formula_sum 'Li1 Pr1 Nd1 O2'
_symmetry_space_group_name_H-M 'P 1'
_symmetry_Int_Tables_number 1
_symmetry_space_group_name_Hall 'P 1'
_cell_length_a 6.183
_cell_length_b 6.183
_cell_length_c 6.047
_cell_angle_alpha 36.29
_cell_angle_beta 36.29
_cell_angle_gamma 45.06
loop_
_atom_site_label
_atom_site_type_symbol
_atom_site_fract_x
_atom_site_fract_y
_atom_site_fract_z
_atom_site_occupancy
O1 O 0.260 0.260 0.257 1
O2 O 0.740 0.740 0.743 1
Pr1 Pr 0.500 0.500 0.500 1
Nd1 Nd 0.000 0.000 0.000 1
Li1 Li 0.000 0.000 0.500 1
# Calculated formation energy (meV per atom): -1790
# Distance to the lowest polymorph of the same formula (kJ per mole of atoms): 47.73
# MP2020-corrected energy (eV/cell): -30.31
# Total DFT energy (no corrections) (eV/atom): -5.79
# Symmetry: No. 12

***

# PBE LiPrNdO2, relaxed
data_LiPrNdO2
_chemical_formula_sum 'Li1 Pr1 Nd1 O2'
_symmetry_space_group_name_H-M 'P 1'
_symmetry_Int_Tables_number 1
_symmetry_space_group_name_Hall 'P 1'
_cell_length_a 9.086
_cell_length_b 9.086
_cell_length_c 9.086
_cell_angle_alpha 22.64
_cell_angle_beta 22.64
_cell_angle_gamma 22.64
loop_
_atom_site_label
_atom_site_type_symbol
_atom_site_fract_x
_atom_site_fract_y
_atom_site_fract_z
_atom_site_occupancy
Nd1 Nd 0.009 0.009 0.009 1
Pr1 Pr 0.455 0.455 0.455 1
O1 O 0.727 0.727 0.727 1
O2 O 0.297 0.297 0.297 1
Li1 Li 0.898 0.898 0.898 1
# Calculated formation energy (meV per atom): -2231
# Distance to the lowest polymorph of the same formula (kJ per mole of atoms): 5.19
# MP2020-corrected energy (eV/cell): -32.51
# Total DFT energy (no corrections) (eV/atom): -6.23
# Symmetry: No. 160